[1]
This record from Materials Project describes an optimized crystal structure of Y5BiPd2. The functional is PBE.

Cell lengths 8.885, 8.885, 8.885 Å; angles 127.62, 127.62, 77.25 degrees
Sites, in units of the cell vectors:
Y (0.000, 0.000, 0.000)
Y (0.013, 0.513, 0.808)
Y (0.205, 0.013, 0.500)
Y (0.295, 0.795, 0.808)
Y (0.487, 0.295, 0.500)
Y (0.500, 0.500, 0.000)
Y (0.513, 0.705, 0.500)
Y (0.705, 0.205, 0.192)
Y (0.795, 0.987, 0.500)
Y (0.987, 0.487, 0.192)
Bi (0.250, 0.250, 0.000)
Bi (0.750, 0.750, 0.000)
Pd (0.138, 0.362, 0.500)
Pd (0.362, 0.862, 0.225)
Pd (0.638, 0.138, 0.775)
Pd (0.862, 0.638, 0.500)



[2]
This record from Materials Project describes an optimized crystal structure of PmBi3. The functional is PBE.

Offset from the most stable computed form = 0.0 meV/atom

Cell lengths 6.490, 6.490, 6.490 Å; angles 137.33, 137.33, 61.94 degrees
Sites, in units of the cell vectors:
Pm (0.000, 0.000, 0.000)
Bi (0.250, 0.750, 0.500)
Bi (0.500, 0.500, 0.000)
Bi (0.750, 0.250, 0.500)



[3]
This record from Materials Project describes an optimized crystal structure of PmBi3. The functional is PBE.

Offset from the most stable computed form = 10.2 meV/atom

Cell lengths 6.834, 6.834, 6.210 Å; angles 90.00, 90.00, 120.00 degrees
Sites, in units of the cell vectors:
Pm (0.333, 0.667, 0.250)
Pm (0.667, 0.333, 0.750)
Bi (0.173, 0.346, 0.750)
Bi (0.173, 0.827, 0.750)
Bi (0.346, 0.173, 0.250)
Bi (0.654, 0.827, 0.750)
Bi (0.827, 0.173, 0.250)
Bi (0.827, 0.654, 0.250)



[4]
This record from Materials Project describes an optimized crystal structure of Pr2Bi. The functional is PBE.

Cell lengths 9.728, 9.728, 9.728 Å; angles 152.23, 152.23, 39.68 degrees
Sites, in units of the cell vectors:
Pr (0.000, 0.500, 0.500)
Pr (0.179, 0.179, 0.000)
Pr (0.500, 0.000, 0.500)
Pr (0.821, 0.821, 0.000)
Bi (0.361, 0.361, 0.000)
Bi (0.639, 0.639, 0.000)



[5]
This record from Materials Project describes an optimized crystal structure of Pr5Bi3. The functional is PBE.

Cell lengths 9.614, 9.614, 6.626 Å; angles 90.00, 90.00, 120.00 degrees
Sites, in units of the cell vectors:
Pr (0.000, 0.248, 0.250)
Pr (0.000, 0.752, 0.750)
Pr (0.248, 0.000, 0.250)
Pr (0.248, 0.248, 0.750)
Pr (0.333, 0.667, 0.000)
Pr (0.333, 0.667, 0.500)
Pr (0.667, 0.333, 0.000)
Pr (0.667, 0.333, 0.500)
Pr (0.752, 0.000, 0.750)
Pr (0.752, 0.752, 0.250)
Bi (0.000, 0.387, 0.750)
Bi (0.000, 0.613, 0.250)
Bi (0.387, 0.000, 0.750)
Bi (0.387, 0.387, 0.250)
Bi (0.613, 0.000, 0.250)
Bi (0.613, 0.613, 0.750)



[6]
This record from Materials Project describes an optimized crystal structure of PrBi. The functional is PBE.

Offset from the most stable computed form = 245.4 meV/atom

Cell lengths 4.010, 4.010, 4.010 Å; angles 90.00, 90.00, 90.00 degrees
Sites, in units of the cell vectors:
Pr (0.000, 0.000, 0.000)
Bi (0.500, 0.500, 0.500)



[7]
This record from Materials Project describes an optimized crystal structure of PrBi. The functional is PBE.

Offset from the most stable computed form = 0.0 meV/atom

Cell lengths 4.642, 4.642, 4.642 Å; angles 60.00, 60.00, 60.00 degrees
Sites, in units of the cell vectors:
Pr (0.000, 0.000, 0.000)
Bi (0.500, 0.500, 0.500)



[8]
This record from Materials Project describes an optimized crystal structure of PrBi. The functional is PBE.

Offset from the most stable computed form = 174.2 meV/atom

Cell lengths 4.278, 4.278, 3.479 Å; angles 90.00, 90.00, 90.00 degrees
Sites, in units of the cell vectors:
Pr (0.000, 0.000, 0.000)
Bi (0.500, 0.500, 0.500)



| no. | E_form (eV/atom) | V (A^3/atom) |
| --- | --- | --- |
| 1 | -0.706 | 26.69 |
| 2 | -0.422 | 31.04 |
| 3 | -0.412 | 31.39 |
| 4 | -0.679 | 33.26 |
| 5 | -0.778 | 33.15 |
| 6 | -0.707 | 32.25 |
| 7 | -0.952 | 35.37 |
| 8 | -0.778 | 31.83 |